(1)
Entry from the Materials Project: a geometry-optimized V2O3F structure (PBE+U).

a b c (Å): 5.584 5.584 8.823
angles (deg): 87.39 87.39 75.57
Fractional positions:
1 F 0.803 0.197 0.500
2 F 0.552 0.948 0.749
3 O 0.278 0.277 0.529
4 V 0.133 0.116 0.375
5 O 0.783 0.776 0.028
6 O 0.972 0.971 0.221
7 O 0.224 0.217 0.972
8 O 0.723 0.722 0.471
9 V 0.465 0.535 0.500
10 V 0.629 0.621 0.875
11 O 0.950 0.552 0.751
12 O 0.309 0.691 0.000
13 O 0.448 0.050 0.249
14 V 0.884 0.867 0.625
15 F 0.705 0.295 0.000
16 V 0.046 0.954 0.000
17 F 0.052 0.448 0.251
18 V 0.212 0.287 0.751
19 O 0.029 0.028 0.779
20 O 0.533 0.525 0.279
21 O 0.475 0.467 0.721
22 O 0.203 0.797 0.500
23 V 0.379 0.371 0.125
24 V 0.713 0.788 0.249

Summary:
Its volume is 11.08 Å³/atom. The value obtained for the calculated formation energy is -2.6655 eV/atom.


(2)
Entry from the Materials Project: a geometry-optimized VOF2 structure (PBE+U).

a b c (Å): 5.186 5.187 13.413
angles (deg): 88.68 89.14 60.70
Fractional positions:
1 V 0.312 0.327 0.841
2 F 0.278 0.666 0.916
3 F 0.343 0.926 0.085
4 F 0.935 0.334 0.583
5 V 0.659 0.642 0.674
6 F 0.001 0.606 0.749
7 F 0.065 0.677 0.412
8 F 0.683 0.067 0.911
9 V 0.005 0.977 0.008
10 O 0.752 0.921 0.582
11 F 0.405 0.594 0.249
12 F 0.664 0.271 0.414
13 O 0.093 0.253 0.916
14 V 0.319 0.310 0.339
15 O 0.587 0.422 0.749
16 O 0.922 0.758 0.081
17 O 0.249 0.089 0.414
18 O 0.990 0.425 0.247
19 F 0.594 0.010 0.247
20 F 0.399 0.012 0.745
21 V 0.700 0.644 0.173
22 F 0.735 0.341 0.080
23 F 0.342 0.733 0.578
24 V 0.970 0.995 0.507

Summary:
Its volume is 13.11 Å³/atom. The value obtained for the calculated formation energy is -2.8532 eV/atom.


(3)
Entry from the Materials Project: a geometry-optimized V2OF4 structure (PBE+U).

a b c (Å): 4.927 6.867 5.711
angles (deg): 102.07 90.01 69.00
Fractional positions:
1 V 0.109 0.273 0.285
2 F 0.462 0.231 0.461
3 F 0.278 0.596 0.867
4 V 0.383 0.725 0.212
5 O 0.869 0.000 0.749
6 F 0.536 0.769 0.537
7 F 0.123 0.596 0.367
8 V 0.890 0.726 0.712
9 V 0.615 0.273 0.785
10 F 0.720 0.402 0.131
11 F 0.695 0.766 0.036
12 O 0.130 0.998 0.248
13 F 0.874 0.403 0.630
14 F 0.304 0.230 0.961

Summary:
Its volume is 12.56 Å³/atom. The value obtained for the calculated formation energy is -2.9580 eV/atom.


(4)
Entry from the Materials Project: a geometry-optimized V2O3F structure (PBE+U).

a b c (Å): 5.565 5.565 4.686
angles (deg): 88.46 88.46 65.24
Fractional positions:
1 V 0.500 0.500 0.500
2 O 0.155 0.155 0.805
3 O 0.848 0.343 0.307
4 O 0.152 0.657 0.693
5 V 0.500 0.000 0.000
6 O 0.343 0.848 0.307
7 F 0.351 0.351 0.204
8 V 0.000 0.500 0.000
9 F 0.649 0.649 0.796
10 O 0.845 0.845 0.195
11 O 0.657 0.152 0.693
12 V 0.000 0.000 0.500

Summary:
Its volume is 10.98 Å³/atom. The value obtained for the calculated formation energy is -2.5720 eV/atom.


(5)
Entry from the Materials Project: a geometry-optimized WOF4 structure (PBE+U).

a b c (Å): 10.262 10.262 15.246
angles (deg): 67.50 67.50 32.81
Fractional positions:
1 W 0.229 0.038 0.112
2 W 0.521 0.701 0.818
3 F 0.198 0.466 0.460
4 F 0.577 0.828 0.713
5 O 0.068 0.279 0.024
6 F 0.902 0.175 0.612
7 F 0.332 0.079 0.164
8 O 0.249 0.491 0.117
9 W 0.299 0.479 0.682
10 F 0.175 0.902 0.112
11 O 0.279 0.068 0.524
12 F 0.304 0.529 0.267
13 F 0.795 0.035 0.280
14 F 0.466 0.198 0.960
15 F 0.423 0.172 0.287
16 F 0.361 0.623 0.614
17 F 0.273 0.983 0.877
18 O 0.509 0.751 0.383
19 O 0.491 0.249 0.617
20 F 0.668 0.921 0.836
21 F 0.921 0.668 0.336
22 F 0.017 0.727 0.623
23 F 0.377 0.639 0.886
24 F 0.965 0.205 0.220
25 F 0.802 0.534 0.540
26 F 0.983 0.273 0.377
27 O 0.932 0.721 0.976
28 W 0.038 0.229 0.612
29 F 0.623 0.361 0.114
30 W 0.479 0.299 0.182
31 F 0.098 0.825 0.388
32 F 0.035 0.795 0.780
33 W 0.962 0.771 0.388
34 F 0.828 0.577 0.213
35 F 0.534 0.802 0.040
36 F 0.172 0.423 0.787
37 F 0.639 0.377 0.386
38 F 0.825 0.098 0.888
39 F 0.727 0.017 0.123
40 F 0.696 0.471 0.733
41 W 0.771 0.962 0.888
42 F 0.471 0.696 0.233
43 O 0.751 0.509 0.883
44 O 0.721 0.932 0.476
45 W 0.701 0.521 0.318
46 F 0.529 0.304 0.767
47 F 0.079 0.332 0.664
48 F 0.205 0.965 0.720

Summary:
Its volume is 16.62 Å³/atom. The value obtained for the calculated formation energy is -2.6353 eV/atom.


(6)
Entry from the Materials Project: a geometry-optimized W5O12F structure (PBE+U).

a b c (Å): 3.875 6.415 18.171
angles (deg): 90.00 90.00 90.00
Fractional positions:
1 O 0.000 0.625 0.048
2 O 0.500 0.772 0.147
3 W 0.000 0.697 0.938
4 O 0.000 0.625 0.452
5 W 0.000 0.221 0.250
6 O 0.500 0.228 0.853
7 O 0.500 0.299 0.441
8 O 0.000 0.910 0.640
9 O 0.500 0.778 0.750
10 W 0.000 0.768 0.148
11 O 0.000 0.453 0.169
12 O 0.500 0.299 0.059
13 O 0.000 0.090 0.360
14 O 0.000 0.453 0.331
15 W 0.000 0.768 0.352
16 W 0.000 0.303 0.062
17 O 0.000 0.375 0.548
18 O 0.000 0.547 0.831
19 W 0.000 0.779 0.750
20 W 0.000 0.232 0.648
21 O 0.000 0.109 0.750
22 F 0.000 0.000 0.500
23 W 0.000 0.697 0.562
24 O 0.000 0.375 0.952
25 O 0.500 0.228 0.647
26 O 0.500 0.772 0.353
27 W 0.000 0.303 0.438
28 O 0.500 0.701 0.941
29 F 0.000 0.000 0.000
30 O 0.500 0.701 0.559
31 O 0.500 0.222 0.250
32 O 0.000 0.910 0.860
33 O 0.000 0.090 0.140
34 O 0.000 0.547 0.669
35 W 0.000 0.232 0.852
36 O 0.000 0.891 0.250

Summary:
Its volume is 12.55 Å³/atom. The value obtained for the calculated formation energy is -2.1178 eV/atom.


(7)
Entry from the Materials Project: a geometry-optimized WOF4 structure (PBE+U).

a b c (Å): 5.440 5.440 5.440
angles (deg): 97.50 97.50 137.64
Fractional positions:
1 F 0.005 0.821 0.680
2 F 0.325 0.005 0.184
3 W 0.012 0.012 0.000
4 F 0.141 0.325 0.320
5 O 0.557 0.557 0.000
6 F 0.821 0.141 0.816

Summary:
Its volume is 16.85 Å³/atom. The largest piezoelectric modulus comes out at 2.90 C/m². The value obtained for the calculated formation energy is -2.6825 eV/atom.


(8)
Entry from the Materials Project: a geometry-optimized W2OF8 structure (PBE+U).

a b c (Å): 5.508 9.235 15.977
angles (deg): 74.34 90.00 90.00
Fractional positions:
1 W 0.078 0.479 0.657
2 F 0.187 0.500 0.250
3 W 0.809 0.888 0.876
4 F 0.329 0.187 0.014
5 F 0.070 0.000 0.250
6 W 0.922 0.521 0.343
7 F 0.098 0.612 0.064
8 F 0.200 0.354 0.780
9 O 0.067 0.711 0.368
10 F 0.302 0.084 0.377
11 O 0.933 0.289 0.632
12 W 0.191 0.112 0.124
13 F 0.475 0.132 0.186
14 F 0.110 0.050 0.589
15 F 0.698 0.084 0.877
16 F 0.525 0.132 0.686
17 W 0.922 0.479 0.157
18 F 0.671 0.813 0.986
19 F 0.302 0.916 0.123
20 F 0.329 0.813 0.486
21 O 0.933 0.711 0.868
22 F 0.671 0.187 0.514
23 F 0.525 0.868 0.814
24 F 0.380 0.459 0.602
25 F 0.620 0.541 0.398
26 F 0.902 0.388 0.936
27 F 0.800 0.646 0.220
28 F 0.813 0.500 0.750
29 F 0.890 0.050 0.089
30 F 0.902 0.612 0.564
31 F 0.698 0.916 0.623
32 W 0.809 0.112 0.624
33 F 0.098 0.388 0.436
34 F 0.475 0.868 0.314
35 F 0.890 0.950 0.411
36 F 0.930 0.000 0.750
37 W 0.191 0.888 0.376
38 O 0.067 0.289 0.132
39 W 0.078 0.521 0.843
40 F 0.380 0.541 0.898
41 F 0.200 0.646 0.720
42 F 0.110 0.950 0.911
43 F 0.620 0.459 0.102
44 F 0.800 0.354 0.280

Summary:
Its volume is 17.78 Å³/atom. The value obtained for the calculated formation energy is -2.6381 eV/atom.


(9)
Entry from the Materials Project: a geometry-optimized W3O7F structure (PBE+U).

a b c (Å): 6.411 6.411 3.886
angles (deg): 90.00 90.00 120.33
Fractional positions:
1 O 0.041 0.341 0.000
2 W 0.305 0.695 0.000
3 W 0.695 0.305 0.000
4 O 0.959 0.659 0.000
5 O 0.309 0.691 0.500
6 F 0.500 0.500 0.000
7 W 0.000 0.000 0.000
8 O 0.691 0.309 0.500
9 O 0.341 0.041 0.000
10 O 0.000 0.000 0.500
11 O 0.659 0.959 0.000

Summary:
Its volume is 12.53 Å³/atom. The value obtained for the calculated formation energy is -2.1598 eV/atom.


(10)
Entry from the Materials Project: a geometry-optimized WOF4 structure (PBE+U).

a b c (Å): 8.759 8.759 5.432
angles (deg): 88.23 88.23 112.11
Fractional positions:
1 F 0.341 0.341 0.928
2 F 0.393 0.835 0.119
3 W 0.239 0.239 0.233
4 F 0.165 0.607 0.881
5 F 0.448 0.265 0.348
6 F 0.291 0.913 0.695
7 O 0.974 0.787 0.881
8 F 0.552 0.735 0.652
9 F 0.143 0.143 0.545
10 O 0.787 0.974 0.881
11 F 0.087 0.709 0.305
12 F 0.265 0.448 0.348
13 F 0.857 0.857 0.455
14 W 0.814 0.186 0.000
15 F 0.607 0.165 0.881
16 F 0.913 0.291 0.695
17 O 0.213 0.026 0.119
18 W 0.761 0.761 0.767
19 F 0.835 0.393 0.119
20 F 0.735 0.552 0.652
21 F 0.709 0.087 0.305
22 W 0.186 0.814 0.000
23 O 0.026 0.213 0.119
24 F 0.659 0.659 0.072

Summary:
Its volume is 16.06 Å³/atom. The value obtained for the calculated formation energy is -2.6721 eV/atom.


(11)
Entry from the Materials Project: a geometry-optimized WOF3 structure (PBE+U).

a b c (Å): 9.289 9.289 3.797
angles (deg): 89.97 89.97 90.21
Fractional positions:
1 F 0.119 0.667 0.742
2 O 0.625 0.625 0.758
3 F 0.408 0.589 0.258
4 W 0.131 0.869 0.741
5 O 0.125 0.875 0.242
6 O 0.370 0.370 0.759
7 F 0.589 0.408 0.258
8 F 0.091 0.091 0.742
9 F 0.168 0.390 0.259
10 W 0.367 0.367 0.259
11 F 0.832 0.620 0.258
12 F 0.333 0.882 0.741
13 O 0.875 0.125 0.242
14 F 0.390 0.168 0.259
15 W 0.869 0.131 0.741
16 W 0.631 0.631 0.259
17 F 0.882 0.333 0.741
18 F 0.909 0.909 0.743
19 F 0.667 0.119 0.742
20 F 0.620 0.832 0.258

Summary:
Its volume is 16.38 Å³/atom. The value obtained for the calculated formation energy is -2.4606 eV/atom.


(12)
Entry from the Materials Project: a geometry-optimized WOF4 structure (PBE+U).

a b c (Å): 8.795 8.795 8.795
angles (deg): 98.15 98.15 135.75
Fractional positions:
1 F 0.517 0.250 0.170
2 W 0.035 0.215 0.279
3 W 0.785 0.065 0.820
4 F 0.663 0.993 0.595
5 F 0.932 0.337 0.330
6 O 0.088 0.859 0.950
7 O 0.141 0.091 0.229
8 F 0.398 0.068 0.405
9 F 0.080 0.347 0.830
10 W 0.935 0.756 0.721
11 F 0.488 0.782 0.808
12 F 0.750 0.920 0.267
13 F 0.162 0.288 0.505
14 F 0.974 0.680 0.192
15 F 0.218 0.026 0.706
16 O 0.862 0.912 0.771
17 F 0.712 0.216 0.873
18 F 0.784 0.657 0.495
19 O 0.909 0.138 0.050
20 F 0.007 0.602 0.670
21 F 0.320 0.512 0.294
22 F 0.343 0.838 0.127
23 F 0.653 0.483 0.733
24 W 0.244 0.965 0.180

Summary:
Its volume is 18.32 Å³/atom. The value obtained for the calculated formation energy is -2.6711 eV/atom.


(13)
Entry from the Materials Project: a geometry-optimized WO2F structure (PBE+U).

a b c (Å): 5.585 5.585 5.585
angles (deg): 122.25 122.02 86.34
Fractional positions:
1 O 0.257 0.757 0.000
2 W 0.000 0.000 0.000
3 O 0.743 0.243 0.000
4 F 0.750 0.732 0.982
5 W 0.500 0.500 0.000
6 O 0.757 0.757 0.500
7 O 0.243 0.243 0.500
8 F 0.250 0.268 0.018

Summary:
Its volume is 14.87 Å³/atom. The value obtained for the calculated formation energy is -2.2216 eV/atom.